[1]
# SmCuSb2

SmCuSb2 after structural relaxation (r²SCAN, the Materials Project database).

Values from the calculation:
- size of the total moment (μB/atom) = 0.00
- ΔH_f (0 K) (eV per atom) = -0.7462

a = 4.3323 Å, b = 4.3323 Å, c = 10.0430 Å
α = 90.00°, β = 90.00°, γ = 90.00°
With the nearest neighbours (Å) after each atom.
Space group P4/nmm (No. 129, origin choice 2)
Inequivalent atoms, fractional coordinates:
Sm  0.2500  0.2500  0.2483 (multiplicity 2)  8 Sb 3.22-3.30, 4 Cu 3.33
Cu  0.2500  0.7500  0.5000 (multiplicity 2)  4 Sb 2.65
Sb  0.2500  0.2500  0.6518 (multiplicity 2)  4 Cu 2.65
Sb  0.2500  0.7500  0.0000 (multiplicity 2)  4 Sb 3.06, 4 Sm 3.30

***

[2]
# SrCuSb

SrCuSb after structural relaxation (r²SCAN, the Materials Project database).

Values from the calculation:
- size of the total moment (μB/atom) = 0.00
- ΔH_f (0 K) (eV per atom) = -0.8145

a = 4.5106 Å, b = 4.5106 Å, c = 8.9144 Å
α = 90.00°, β = 90.00°, γ = 120.00°
With the nearest neighbours (Å) after each atom.
Space group P6_3/mmc (No. 194)
Inequivalent atoms, fractional coordinates:
Sr  0.0000  0.0000  0.0000 (multiplicity 2)  6 Sb 3.43, 6 Cu 3.43
Cu  0.3333  0.6667  0.2500 (multiplicity 2)  3 Sb 2.60
Sb  0.3333  0.6667  0.7500 (multiplicity 2)  3 Cu 2.60

***

[3]
# TbCuSb2

TbCuSb2 after structural relaxation (r²SCAN, the Materials Project database).

Values from the calculation:
- size of the total moment (μB/atom) = 0.00
- ΔH_f (0 K) (eV per atom) = -0.7078

a = 4.2984 Å, b = 4.2984 Å, c = 9.8828 Å
α = 90.00°, β = 90.00°, γ = 90.00°
With the nearest neighbours (Å) after each atom.
Space group P4/nmm (No. 129, origin choice 2)
Inequivalent atoms, fractional coordinates:
Tb  0.2500  0.2500  0.2475 (multiplicity 2)  8 Sb 3.18-3.26, 4 Cu 3.29
Cu  0.2500  0.7500  0.5000 (multiplicity 2)  4 Sb 2.65
Sb  0.2500  0.2500  0.6566 (multiplicity 2)  4 Cu 2.65
Sb  0.2500  0.7500  0.0000 (multiplicity 2)  4 Sb 3.04, 4 Tb 3.26

***

[4]
# Tb3Cu3Sb4

Tb3Cu3Sb4 after structural relaxation (r²SCAN, the Materials Project database).

Values from the calculation:
- size of the total moment (μB/atom) = 0.00
- ΔH_f (0 K) (eV per atom) = -0.8436

a = 9.5644 Å, b = 9.5644 Å, c = 9.5644 Å
α = 90.00°, β = 90.00°, γ = 90.00°
With the nearest neighbours (Å) after each atom.
Space group I-43d (No. 220)
Inequivalent atoms, fractional coordinates:
Tb  0.0000  0.2500  0.8750 (multiplicity 12)  4 Cu 2.93, 4 Sb 3.27
Cu  0.0000  0.2500  0.3750 (multiplicity 12)  4 Sb 2.66, 4 Tb 2.93
Sb  0.0790  0.4210  0.5790 (multiplicity 16)  3 Cu 2.66

***

[5]
# YbCuSb

YbCuSb after structural relaxation (r²SCAN, the Materials Project database).

Values from the calculation:
- size of the total moment (μB/atom) = 0.00
- ΔH_f (0 K) (eV per atom) = -0.6690

a = 4.2691 Å, b = 4.2691 Å, c = 7.9759 Å
α = 90.00°, β = 90.00°, γ = 120.00°
With the nearest neighbours (Å) after each atom.
Space group P6_3mc (No. 186)
Inequivalent atoms, fractional coordinates:
Yb  0.0000  0.0000  0.0000 (multiplicity 2)  6 Cu 3.12-3.22, 6 Sb 3.16-3.18
Cu  0.3333  0.6667  0.2394 (multiplicity 2)  3 Sb 2.47
Sb  0.3333  0.6667  0.7512 (multiplicity 2)  3 Cu 2.47

***

[6]
# YbCuSb

YbCuSb after structural relaxation (r²SCAN, the Materials Project database).

Values from the calculation:
- size of the total moment (μB/atom) = 0.00
- ΔH_f (0 K) (eV per atom) = -0.6693

a = 4.2764 Å, b = 4.2764 Å, c = 7.9229 Å
α = 90.00°, β = 90.00°, γ = 120.00°
With the nearest neighbours (Å) after each atom.
Space group P6_3/mmc (No. 194)
Inequivalent atoms, fractional coordinates:
Yb  0.0000  0.0000  0.0000 (multiplicity 2)  6 Sb 3.17, 6 Cu 3.17
Cu  0.3333  0.6667  0.2500 (multiplicity 2)  3 Sb 2.47
Sb  0.3333  0.6667  0.7500 (multiplicity 2)  3 Cu 2.47

***

[7]
# ScCu2

ScCu2 after structural relaxation (r²SCAN, the Materials Project database).

Values from the calculation:
- size of the total moment (μB/atom) = 0.00
- ΔH_f (0 K) (eV per atom) = -0.2364

a = 3.2759 Å, b = 3.2759 Å, c = 8.3258 Å
α = 90.00°, β = 90.00°, γ = 90.00°
With the nearest neighbours (Å) after each atom.
Space group I4/mmm (No. 139)
Inequivalent atoms, fractional coordinates:
Sc  0.0000  0.0000  0.0000 (multiplicity 2)  10 Cu 2.72-2.73
Cu  0.0000  0.0000  0.3262 (multiplicity 4)  5 Cu 2.64-2.89, 5 Sc 2.72-2.73

***

[8]
# ScCuSe2

ScCuSe2 after structural relaxation (r²SCAN, the Materials Project database).

Values from the calculation:
- size of the total moment (μB/atom) = 0.00
- ΔH_f (0 K) (eV per atom) = -1.2760

a = 3.9237 Å, b = 3.9237 Å, c = 6.2870 Å
α = 90.00°, β = 90.00°, γ = 120.00°
With the nearest neighbours (Å) after each atom.
Space group P3m1 (No. 156)
Inequivalent atoms, fractional coordinates:
Sc  0.0000  0.0000  0.0000 (multiplicity 1)  6 Se 2.67-2.80
Cu  0.3333  0.6667  0.6069 (multiplicity 1)  4 Se 2.39-2.41
Se  0.3333  0.6667  0.2260 (multiplicity 1)  1 Cu 2.39, 3 Sc 2.67
Se  0.6667  0.3333  0.7395 (multiplicity 1)  3 Cu 2.41

***

Which value of size of the total moment does entry 5 give? 0.00 μB/atom